Entry 1:
Material: HgAs4S4I2
Method: DFT, GGA-PBE
State: relaxed

```
data_HgAs4S4I2
_space_group_name_H-M_alt 'P 1 21/c 1'
_space_group_IT_number 14
_cell_length_a 10.100
_cell_length_b 15.899
_cell_length_c 12.513
_cell_angle_alpha 90.00
_cell_angle_beta 128.25
_cell_angle_gamma 90.00
loop_
_space_group_symop_operation_xyz
'x,y,z'
'-x,-y,-z'
'-x,y+1/2,-z+1/2'
'x,-y+1/2,z+1/2'
loop_
_atom_site_label
_atom_site_type_symbol
_atom_site_fract_x
_atom_site_fract_y
_atom_site_fract_z
Hg1 Hg 0.211 0.046 0.000
As1 As 0.133 0.548 0.910
As2 As 0.285 0.654 0.214
As3 As 0.386 0.033 0.624
As4 As 0.469 0.685 0.136
S1 S 0.042 0.621 0.009
S2 S 0.278 0.657 0.912
S3 S 0.362 0.518 0.280
S4 S 0.403 0.058 0.316
I1 I 0.126 0.616 0.471
I2 I 0.255 0.204 0.962
```

Summary:
The calculation puts the volume at 35.865 A^3/atom. The formation energy is -0.430 eV/atom. As for the total moment: 0.00 μB per formula unit. The calculation puts the energy with MP2020 corrections at -3.9334 eV per atom. The value obtained for the electronic total energy is -3.68 eV/atom.

---

Entry 2:
Material: Hg3AsSe4I
Method: DFT, GGA-PBE
State: relaxed

```
data_Hg3AsSe4I
_space_group_name_H-M_alt 'P 63 m c'
_space_group_IT_number 186
_space_group_name_Hall 'P 6c -2c'
_cell_length_a 7.8891
_cell_length_b 7.8891
_cell_length_c 10.6964
_cell_angle_alpha 90.00
_cell_angle_beta 90.00
_cell_angle_gamma 120.00
loop_
_atom_site_label
_atom_site_type_symbol
_atom_site_fract_x
_atom_site_fract_y
_atom_site_fract_z
Hg1 Hg 0.0038 0.5019 0.0000
As1 As 0.0000 0.0000 0.4959
Se1 Se 0.1514 0.3027 0.6177
Se2 Se 0.3333 0.6667 0.8735
I1 I 0.3333 0.6667 0.2896
```

Summary:
The piezoelectric modulus e_max comes out at 0.31 C/m2. The calculation puts the volume at 32.029 A^3/atom. The formation energy is -0.250 eV/atom. As for the total moment: 0.00 μB per formula unit. The calculation puts the energy with MP2020 corrections at -2.5921 eV per atom. The value obtained for the electronic total energy is -2.55 eV/atom.

---

Entry 3:
Material: SnHg7As4I6
Method: DFT, GGA-PBE
State: relaxed

```
data_SnHg7As4I6
_space_group_name_H-M_alt 'P 21 3'
_space_group_IT_number 198
_space_group_name_Hall 'P 2ac 2ab 3'
_cell_length_a 13.505
_cell_length_b 13.505
_cell_length_c 13.505
_cell_angle_alpha 90.00
_cell_angle_beta 90.00
_cell_angle_gamma 90.00
loop_
_atom_site_label
_atom_site_type_symbol
_atom_site_fract_x
_atom_site_fract_y
_atom_site_fract_z
Sn1 Sn 0.235 0.265 0.735
Hg1 Hg 0.000 0.249 0.569
Hg2 Hg 0.035 0.035 0.035
Hg3 Hg 0.076 0.318 0.098
As1 As 0.036 0.964 0.464
As2 As 0.069 0.569 0.931
As3 As 0.074 0.426 0.574
As4 As 0.144 0.144 0.144
I1 I 0.026 0.764 0.686
I2 I 0.055 0.787 0.188
```

Summary:
The calculation puts the volume at 34.208 A^3/atom. The formation energy is -0.332 eV/atom. As for the total moment: 0.00 μB per formula unit. The calculation puts the energy with MP2020 corrections at -2.2158 eV per atom. The value obtained for the electronic total energy is -2.09 eV/atom.

---

Entry 4:
Material: K4HgAs2
Method: DFT, GGA-PBE
State: relaxed

```
data_K4HgAs2
_space_group_name_H-M_alt 'R -3 m'
_space_group_IT_number 166
_space_group_name_Hall '-R 3 2"'
_cell_length_a 5.8118
_cell_length_b 5.8118
_cell_length_c 28.2804
_cell_angle_alpha 90.00
_cell_angle_beta 90.00
_cell_angle_gamma 120.00
loop_
_atom_site_label
_atom_site_type_symbol
_atom_site_fract_x
_atom_site_fract_y
_atom_site_fract_z
K1 K 0.0000 0.0000 0.1111
K2 K 0.0000 0.0000 0.2921
Hg1 Hg 0.0000 0.0000 0.5000
As1 As 0.0000 0.0000 0.4106
```

Summary:
The calculation puts the volume at 39.393 A^3/atom. The formation energy is -0.439 eV/atom. The value obtained for the electronic total energy is -2.45 eV/atom.

---

Entry 5:
Material: KHgAs
Method: DFT, GGA-PBE
State: relaxed

```
data_KHgAs
_space_group_name_H-M_alt 'P 63/m m c'
_space_group_IT_number 194
_space_group_name_Hall '-P 6c 2c'
_cell_length_a 4.6233
_cell_length_b 4.6233
_cell_length_c 10.2486
_cell_angle_alpha 90.00
_cell_angle_beta 90.00
_cell_angle_gamma 120.00
loop_
_atom_site_label
_atom_site_type_symbol
_atom_site_fract_x
_atom_site_fract_y
_atom_site_fract_z
K1 K 0.0000 0.0000 0.0000
Hg1 Hg 0.3333 0.6667 0.2500
As1 As 0.3333 0.6667 0.7500
```

Summary:
The calculation puts the volume at 31.618 A^3/atom. The formation energy is -0.352 eV/atom. The value obtained for the electronic total energy is -2.38 eV/atom.

---

Entry 6:
Material: HgAsO4
Method: DFT, GGA-PBE
State: relaxed

```
data_HgAsO4
_space_group_name_H-M_alt 'P 1 21/c 1'
_space_group_IT_number 14
_cell_length_a 5.359
_cell_length_b 12.655
_cell_length_c 7.464
_cell_angle_alpha 90.00
_cell_angle_beta 123.41
_cell_angle_gamma 90.00
loop_
_space_group_symop_operation_xyz
'x,y,z'
'-x,-y,-z'
'-x,y+1/2,-z+1/2'
'x,-y+1/2,z+1/2'
loop_
_atom_site_label
_atom_site_type_symbol
_atom_site_fract_x
_atom_site_fract_y
_atom_site_fract_z
Hg1 Hg 0.189 0.010 0.260
As1 As 0.407 0.147 0.980
O1 O 0.071 0.113 0.743
O2 O 0.299 0.593 0.514
O3 O 0.418 0.217 0.504
O4 O 0.459 0.119 0.233
```

Summary:
The calculation puts the volume at 17.606 A^3/atom. The formation energy is -0.955 eV/atom. As for the total moment: 1.00 μB per formula unit. The value obtained for the excess energy over the best structure of this formula in the dataset is 0.27 kcal/mol of atoms. The calculation puts the energy with MP2020 corrections at -5.0804 eV per atom. The value obtained for the electronic total energy is -4.62 eV/atom.